Record 1
K2VPCO7: optimized geometry, PBE+U.

Structure (CIF):
```
data_K2VPCO7
_chemical_formula_sum 'K8 V4 P4 C4 O28'
_symmetry_space_group_name_H-M 'P 1 21 1'
_symmetry_Int_Tables_number 4
_cell_length_a 5.638
_cell_length_b 6.729
_cell_length_c 19.583
_cell_angle_alpha 90.00
_cell_angle_beta 90.14
_cell_angle_gamma 90.00
loop_
_symmetry_equiv_pos_as_xyz
'x,y,z'
'-x,y+1/2,-z'
loop_
_atom_site_label
_atom_site_type_symbol
_atom_site_fract_x
_atom_site_fract_y
_atom_site_fract_z
K1 K 0.246 0.000 0.381
K2 K 0.246 0.000 0.881
K3 K 0.246 0.455 0.381
K4 K 0.246 0.455 0.881
V1 V 0.226 0.228 0.179
V2 V 0.226 0.228 0.679
P1 P 0.278 0.728 0.216
P2 P 0.278 0.728 0.716
C1 C 0.269 0.228 0.052
C2 C 0.269 0.228 0.552
O1 O 0.064 0.227 0.084
O2 O 0.064 0.228 0.585
O3 O 0.110 0.727 0.279
O4 O 0.110 0.728 0.779
O5 O 0.232 0.538 0.672
O6 O 0.233 0.538 0.172
O7 O 0.233 0.917 0.172
O8 O 0.233 0.917 0.672
O9 O 0.291 0.228 0.489
O10 O 0.292 0.228 0.989
O11 O 0.450 0.228 0.096
O12 O 0.450 0.228 0.596
O13 O 0.456 0.227 0.261
O14 O 0.456 0.228 0.761
```

Properties
The calculation puts the volume at 742.89 Å³/cell. The corrected total energy (MP2020 scheme) comes out at -89.8 eV/f.u. The calculation puts the energy above the lowest structure with this stoichiometry at 0.0 kJ/mol of atoms. For the calculated total energy, the calculation gives -6.9426 eV/atom.

***

Record 2
K2RbHoV2O8: optimized geometry, PBE+U.

Structure (CIF):
```
data_K2RbHoV2O8
_chemical_formula_sum 'K2 Rb1 Ho1 V2 O8'
_symmetry_space_group_name_H-M 'P -3 m 1'
_symmetry_Int_Tables_number 164
_symmetry_space_group_name_Hall '-P 3 2"'
_cell_length_a 6.0161
_cell_length_b 6.0161
_cell_length_c 7.8132
_cell_angle_alpha 90.00
_cell_angle_beta 90.00
_cell_angle_gamma 120.00
loop_
_atom_site_label
_atom_site_type_symbol
_atom_site_fract_x
_atom_site_fract_y
_atom_site_fract_z
K1 K 0.3333 0.6667 0.2026
Rb1 Rb 0.0000 0.0000 0.5000
Ho1 Ho 0.0000 0.0000 0.0000
V1 V 0.3333 0.6667 0.7519
O1 O 0.1739 0.3478 0.8301
O2 O 0.3333 0.6667 0.5360
```

Properties
The calculation puts the volume at 244.90 Å³/cell. The corrected total energy (MP2020 scheme) comes out at -103.9 eV/f.u. For the calculated total energy, the calculation gives -6.7847 eV/atom.

***

Record 3
Li4Fe3Co3Sb2O16: optimized geometry, PBE+U.

Structure (CIF):
```
data_Li4Fe3Co3Sb2O16
_chemical_formula_sum 'Li8 Fe6 Co6 Sb4 O32'
_symmetry_space_group_name_H-M 'C 1 m 1'
_symmetry_Int_Tables_number 8
_cell_length_a 10.188
_cell_length_b 5.886
_cell_length_c 9.595
_cell_angle_alpha 90.00
_cell_angle_beta 91.20
_cell_angle_gamma 90.00
loop_
_symmetry_equiv_pos_as_xyz
'x,y,z'
'x,-y,z'
'x+1/2,y+1/2,z'
'x+1/2,-y+1/2,z'
loop_
_atom_site_label
_atom_site_type_symbol
_atom_site_fract_x
_atom_site_fract_y
_atom_site_fract_z
Li1 Li 0.000 0.000 0.000
Li2 Li 0.002 0.000 0.498
Li3 Li 0.156 0.500 0.913
Li4 Li 0.323 0.000 0.406
Fe1 Fe 0.325 0.500 0.222
Fe2 Fe 0.410 0.245 0.722
Co1 Co 0.080 0.256 0.222
Co2 Co 0.168 0.000 0.723
Sb1 Sb 0.160 0.500 0.493
Sb2 Sb 0.327 0.000 0.999
O1 O 0.001 0.000 0.311
O2 O 0.003 0.000 0.812
O3 O 0.011 0.500 0.340
O4 O 0.080 0.248 0.605
O5 O 0.156 0.500 0.119
O6 O 0.159 0.000 0.110
O7 O 0.229 0.272 0.350
O8 O 0.247 0.220 0.851
O9 O 0.325 0.000 0.614
O10 O 0.330 0.500 0.598
O11 O 0.414 0.254 0.104
O12 O 0.474 0.000 0.858
```

Properties
The calculation puts the volume at 575.29 Å³/cell. The corrected total energy (MP2020 scheme) comes out at -192.7 eV/f.u. For the calculated total energy, the calculation gives -6.0707 eV/atom.